No. 1
VASP calculation (PBE-GGA) on an optimized crystal structure of BaLa2Se4.

The structure in POSCAR format:
```
BaLa2Se4
1.0
-4.669 4.669 4.640
4.669 -4.669 4.640
4.669 4.669 -4.640
La Ba Se
4 2 8
Cartesian
-2.335 3.489 5.800
7.004 1.180 1.160
1.180 2.335 -1.160
3.489 2.335 3.480
0.000 0.000 4.640
0.000 4.669 2.320
1.569 -0.731 7.534
0.731 3.100 5.214
3.100 5.400 2.894
0.731 1.569 1.746
1.569 5.400 -0.574
3.938 3.100 -2.894
3.938 1.569 0.574
3.100 -0.731 4.066
```

---

No. 2
VASP calculation (PBE-GGA) on an optimized crystal structure of Ba5LaSi6.

Results
- Total moment: 4.172 μB/cell

The structure in POSCAR format:
```
Ba5LaSi6
1.0
-3.401 -1.509 -3.166
-3.834 -13.282 10.450
-12.287 10.132 8.370
Si La Ba
24 4 20
Cartesian
-12.009 6.275 8.025
-8.969 -11.522 9.474
-8.294 -2.068 4.242
-10.553 6.863 6.180
-11.228 -2.591 11.412
-12.196 -4.008 13.128
-10.075 1.421 4.491
-17.078 -1.026 13.181
-13.771 4.237 10.890
-7.326 -0.651 2.526
-9.448 -6.080 11.163
-11.850 -0.289 10.983
-5.751 -8.896 4.765
-7.448 -8.772 6.529
-11.094 -6.193 12.985
-12.074 4.113 9.125
-8.428 1.533 2.669
-13.638 7.779 9.058
-7.513 -10.934 7.629
-9.524 -3.835 10.175
-2.445 -3.633 2.473
-5.884 -12.438 6.596
-7.672 -4.370 4.671
-9.998 -0.824 5.479
-12.387 -5.326 10.191
-7.135 0.667 5.463
-4.556 -9.682 7.625
-14.966 5.023 8.029
-4.972 -6.087 2.588
-8.090 4.322 4.746
-13.808 7.664 5.526
-14.597 -2.357 11.151
-5.714 -12.323 10.128
-12.222 3.906 5.613
-14.622 -6.501 13.152
-9.913 1.479 8.060
-7.301 -8.565 10.041
-11.432 -8.982 10.909
-7.654 -2.502 7.530
-9.609 -6.138 7.594
-5.383 -5.982 6.750
-14.551 1.428 13.066
-4.768 -1.908 0.377
-4.925 -2.302 4.503
-11.868 -2.157 8.124
-14.139 1.323 8.904
-4.901 1.842 2.502
-14.754 -2.751 15.277
```

---

No. 3
VASP calculation (PBE-GGA) on an optimized crystal structure of BaLi4.

The structure in POSCAR format:
```
BaLi4
1.0
-10.760 1.140 -0.716
4.228 -9.134 4.035
-0.166 3.465 8.020
Li Ba
24 6
Cartesian
0.000 0.000 0.000
1.624 -4.222 10.744
2.696 -7.247 5.567
-6.228 -3.695 5.593
-5.778 -1.991 1.548
-1.844 1.918 6.274
-0.865 -3.683 7.141
-0.471 -0.834 5.745
-2.896 0.382 3.900
-3.802 -4.911 7.438
-2.835 -0.888 0.960
-0.083 1.733 4.010
-8.384 0.964 3.535
-6.428 -3.692 8.602
-3.863 -3.640 10.379
1.685 -5.493 7.803
-5.833 -0.846 4.197
-0.532 0.437 8.686
-6.167 -4.965 2.652
-4.855 -6.446 5.065
-0.920 -2.538 9.791
-0.271 -0.837 2.736
-8.323 -0.307 0.595
-9.395 2.718 5.771
-3.816 -1.107 7.539
-8.281 -0.634 7.242
1.582 -3.895 4.096
-5.570 2.684 5.865
-1.129 -7.212 5.473
-2.883 -3.422 3.799
```

---

No. 4
VASP calculation (PBE-GGA) on an optimized crystal structure of Ba4LiMo2N7.

The structure in POSCAR format:
```
Ba4LiMo2N7
1.0
-4.906 -3.131 -3.017
6.938 -5.862 -5.198
4.992 -14.993 7.443
Ba N Mo Li
16 28 8 4
Cartesian
-0.081 -9.742 -3.689
6.026 -10.226 -1.245
-2.096 -5.883 -0.196
4.566 -15.510 5.432
-0.603 -9.720 0.066
3.201 -18.542 3.799
2.183 -12.241 4.622
5.035 -19.948 0.332
0.999 -13.760 0.473
2.459 -8.475 -6.204
2.853 -9.675 1.399
7.628 -14.266 -0.839
7.106 -14.244 2.917
3.824 -5.443 -4.571
4.172 -14.311 -2.171
1.990 -4.038 -1.104
8.733 -21.061 0.029
1.718 -16.071 2.243
1.016 -4.496 -4.108
4.915 -14.588 0.485
6.279 -22.371 -1.070
8.575 -11.816 -1.845
3.512 -11.993 -0.386
0.061 -4.506 1.131
5.306 -7.915 -3.015
0.745 -1.614 0.298
3.005 -11.322 -3.421
-0.656 -6.558 -2.413
-1.550 -12.169 1.073
6.435 -12.083 0.981
7.680 -17.428 1.641
-0.212 -7.237 -5.293
0.438 -10.644 2.706
2.103 -7.293 -3.431
7.237 -16.749 4.521
0.589 -11.902 -1.754
0.025 -13.618 3.295
2.336 -6.587 0.436
4.020 -12.663 2.648
4.688 -17.399 -1.209
6.587 -13.342 -3.478
-1.709 -2.925 -0.801
2.110 -9.398 -1.257
4.922 -16.693 2.659
2.311 -11.177 -1.718
0.759 -15.386 3.697
6.266 -8.600 -4.469
4.714 -12.808 0.946
6.065 -17.818 -2.406
0.960 -6.168 1.634
0.538 -6.384 -3.809
6.487 -17.601 3.037
1.579 -7.482 -1.355
3.342 -8.757 -2.898
3.683 -15.228 2.126
5.446 -16.504 0.583
```

---

No. 5
VASP calculation (PBE-GGA) on an optimized crystal structure of BaLiN.

Results
- Total moment: 0.000 μB/cell

The structure in POSCAR format:
```
BaLiN
1.0
9.946 0.000 0.000
0.000 3.879 0.000
0.000 0.000 6.025
Ba Li N
4 4 4
Cartesian
1.601 0.970 0.105
3.372 2.909 3.117
6.573 0.970 2.908
8.345 2.909 5.921
4.690 2.909 0.474
5.256 0.970 5.551
9.663 2.909 2.539
0.283 0.970 3.486
5.716 2.909 4.686
9.203 0.970 1.673
0.743 2.909 4.352
4.230 0.970 1.339
```

---

No. 6
VASP calculation (PBE-GGA) on an optimized crystal structure of Ba2LiN.

Results
- Total moment: 4.750 μB/cell

The structure in POSCAR format:
```
Ba2LiN
1.0
8.269 0.000 0.000
0.000 8.269 0.000
0.000 0.000 15.502
Ba Li N
16 8 8
Cartesian
4.134 6.453 6.117
0.000 6.388 6.357
1.816 4.134 9.385
6.388 0.000 9.145
4.134 6.015 1.394
6.015 4.134 14.108
4.134 2.254 1.394
2.254 4.134 14.108
0.000 2.319 1.634
2.319 0.000 13.868
5.950 0.000 13.868
0.000 1.881 6.357
1.881 0.000 9.145
4.134 1.816 6.117
0.000 5.950 1.634
6.453 4.134 9.385
4.134 6.148 12.109
2.014 0.000 4.358
6.255 0.000 4.358
6.148 4.134 3.392
0.000 6.255 11.143
2.120 4.134 3.392
0.000 2.014 11.143
4.134 2.120 12.109
2.123 0.000 6.375
0.000 2.123 9.127
2.011 4.134 1.376
6.146 0.000 6.375
6.257 4.134 1.376
4.134 2.011 14.126
0.000 6.146 9.127
4.134 6.257 14.126
```

---

No. 7
VASP calculation (PBE-GGA) on an optimized crystal structure of Ba38Na58Li26N.

Results
- Total moment: 0.000 μB/cell

The structure in POSCAR format:
```
Ba38Na58Li26N
1.0
-14.607 5.372 11.427
1.871 -1.034 19.189
1.365 16.176 10.452
Na Li Ba N
58 26 38 1
Cartesian
-6.252 11.279 22.581
-9.323 8.712 26.980
-9.597 5.465 24.882
1.096 6.040 11.835
-10.512 9.369 14.782
-1.376 9.889 26.216
-5.008 1.912 12.208
-2.146 0.859 9.969
-7.638 7.103 14.433
-9.631 19.422 21.413
-12.643 17.385 21.597
0.799 12.159 27.929
-5.468 5.319 6.822
-10.410 5.915 16.536
-12.194 8.778 17.998
-8.535 8.697 17.626
-11.760 13.926 21.324
-5.201 8.488 8.869
-9.219 5.382 28.540
-2.555 10.541 14.123
-3.434 12.147 17.314
0.703 15.404 26.281
-12.326 6.590 27.076
-6.459 6.451 26.526
-5.374 2.114 8.448
-3.340 10.209 20.303
0.556 12.333 24.262
-11.599 8.449 24.105
0.828 2.871 9.788
-3.565 14.069 14.358
-2.836 11.817 23.443
-2.339 7.436 6.631
-0.410 2.208 17.754
-1.624 7.041 13.963
-0.038 5.297 19.716
-8.099 13.863 20.964
-10.745 6.226 12.886
-0.057 2.013 21.373
0.729 6.243 8.076
-7.937 8.367 23.754
-2.129 15.587 17.383
-1.811 4.741 22.889
-0.727 13.003 12.275
-4.753 4.924 14.154
-3.272 6.651 20.105
-9.918 16.405 19.328
-4.852 8.295 12.442
-6.778 17.297 21.020
-13.499 7.239 15.041
-6.625 11.486 18.755
-2.394 5.064 16.903
-2.376 13.411 26.556
-0.470 16.053 14.246
-3.244 3.129 19.912
-0.258 12.783 15.916
-1.534 15.258 23.490
-9.543 16.197 23.180
-6.524 8.054 20.497
-11.015 14.024 28.262
-7.870 14.197 28.422
-6.661 15.347 30.617
-7.436 13.958 32.869
-8.580 18.811 33.737
-9.277 16.364 29.385
-4.450 17.292 30.506
-11.964 17.171 28.486
-6.422 12.238 30.426
-11.254 15.442 31.070
-9.353 16.211 26.443
-10.635 18.533 31.176
-4.359 14.215 32.068
-6.563 17.036 27.991
-9.196 13.631 30.772
-8.489 15.734 35.299
-11.435 16.879 33.912
-9.109 19.103 28.312
-4.694 14.400 28.638
-10.494 13.735 33.612
-8.875 11.160 32.344
-9.210 11.345 28.913
-8.980 16.200 32.431
-11.821 12.305 30.956
-7.553 17.945 30.844
-6.041 16.747 33.340
-4.119 14.371 20.603
-10.299 18.579 37.195
-7.277 5.220 10.704
-1.066 2.805 13.630
-11.841 14.461 37.072
-12.179 10.463 34.488
-10.299 12.823 17.166
-6.748 4.583 18.108
-2.823 11.145 30.017
0.185 8.747 22.105
-1.203 15.234 30.079
-10.093 5.813 20.724
-5.880 14.876 24.758
0.000 0.000 0.000
-5.928 18.462 36.711
-0.243 8.983 17.711
-12.029 20.834 33.837
0.069 12.688 20.104
-7.083 19.100 24.863
-12.491 21.089 29.094
-2.318 17.134 33.887
-10.066 10.348 20.966
-6.320 4.346 22.502
-12.996 15.100 25.224
-2.843 5.129 10.267
-11.149 8.506 30.686
-6.771 8.474 30.257
-6.954 11.592 14.549
-12.871 10.846 27.384
-3.010 17.517 26.782
-1.257 9.293 10.337
-6.642 15.297 16.943
-1.771 3.195 6.397
-3.931 7.962 23.856
-11.464 19.223 25.245
-9.537 12.401 24.981
-4.627 8.347 16.711
-5.764 10.934 26.759
-8.528 15.386 30.801
```

---

No. 8
VASP calculation (PBE-GGA) on an optimized crystal structure of Ba14Na14LiN6.

Results
- Total moment: 0.070 μB/cell

The structure in POSCAR format:
```
Ba14Na14LiN6
1.0
0.000 8.942 8.942
8.942 0.000 8.942
8.942 8.942 0.000
Ba Na N Li
14 14 6 1
Cartesian
16.038 16.038 16.038
10.789 16.038 10.789
7.095 7.095 1.847
8.942 8.942 12.755
12.755 8.942 8.942
7.095 1.847 7.095
8.942 12.755 8.942
5.130 8.942 8.942
10.789 10.789 16.038
1.847 7.095 7.095
8.942 5.130 8.942
8.942 8.942 5.130
1.847 1.847 1.847
16.038 10.789 10.789
0.000 4.471 4.471
5.886 5.886 5.886
8.942 4.471 4.471
5.886 3.057 3.057
14.828 11.999 14.828
14.828 14.828 11.999
11.999 14.828 14.828
4.471 8.942 4.471
4.471 4.471 8.942
3.057 5.886 3.057
4.471 4.471 0.000
11.999 11.999 11.999
4.471 0.000 4.471
3.057 3.057 5.886
8.942 15.261 8.942
8.942 8.942 2.624
2.624 8.942 8.942
8.942 2.624 8.942
8.942 8.942 15.261
15.261 8.942 8.942
0.000 0.000 0.000
```

---

Number 1: energy of formation from the pure elements -2.30 eV/atom. Number 2: energy of formation from the pure elements -0.45 eV/atom. Number 3: energy of formation from the pure elements 0.00 eV/atom. Number 4: energy of formation from the pure elements -0.99 eV/atom. Number 5: energy of formation from the pure elements -0.48 eV/atom. Number 6: energy of formation from the pure elements -0.36 eV/atom. Number 7: energy of formation from the pure elements -0.02 eV/atom. Number 8: energy of formation from the pure elements -0.31 eV/atom.